[1]
Density functional theory data (PBE-GGA) for AgP2H8SN7O2 after structural relaxation.

Computed properties:
* E (MP2020): -5.798 eV/atom
* energy above the lowest structure with this stoichiometry: 14 meV per atom

a = 10.3031 Å, b = 9.1036 Å, c = 11.9703 Å
α = 90.00°, β = 116.67°, γ = 90.00°
Closest atoms and distances in Å follow each position.
Sites, in units of the cell vectors:
Ag (0.1865, 0.1917, 0.2163)  2 N 2.18-2.19
Ag (0.1865, 0.3083, 0.7163)  2 N 2.18-2.19
Ag (0.8135, 0.6917, 0.2837)  2 N 2.18-2.19
Ag (0.8135, 0.8083, 0.7837)  2 N 2.18-2.19
P (0.1777, 0.5036, 0.2891)  4 N 1.56-1.73
P (0.1777, 0.9964, 0.7891)  4 N 1.56-1.73
P (0.2282, 0.6007, 0.5552)  4 N 1.62-1.67
P (0.2282, 0.8993, 0.0552)  4 N 1.62-1.67
P (0.7718, 0.1007, 0.9448)  4 N 1.62-1.67
P (0.7718, 0.3993, 0.4448)  4 N 1.62-1.67
P (0.8223, 0.0036, 0.2109)  4 N 1.56-1.73
P (0.8223, 0.4964, 0.7109)  4 N 1.56-1.73
H (0.0275, 0.6148, 0.5914)  1 N 1.02
H (0.0275, 0.8852, 0.0914)  1 N 1.02
H (0.0468, 0.0370, 0.3752)  1 N 1.02
H (0.0468, 0.4630, 0.8752)  1 N 1.02
H (0.1083, 0.7173, 0.1160)  1 N 1.06
H (0.1083, 0.7827, 0.6160)  1 N 1.06
H (0.1870, 0.7307, 0.3779)  1 N 1.02
H (0.1870, 0.7693, 0.8779)  1 N 1.02
H (0.3270, 0.5470, 0.2006)  1 N 1.02
H (0.3270, 0.9530, 0.7006)  1 N 1.02
H (0.4236, 0.7073, 0.7205)  1 N 1.02
H (0.4236, 0.7927, 0.2205)  1 N 1.02
H (0.4278, 0.5419, 0.3609)  1 N 1.02
H (0.4278, 0.9581, 0.8609)  1 N 1.02
H (0.4512, 0.6951, 0.5909)  1 N 1.02
H (0.4512, 0.8049, 0.0909)  1 N 1.02
H (0.5488, 0.1951, 0.9091)  1 N 1.02
H (0.5488, 0.3049, 0.4091)  1 N 1.02
H (0.5722, 0.0419, 0.1391)  1 N 1.02
H (0.5722, 0.4581, 0.6391)  1 N 1.02
H (0.5764, 0.2073, 0.7795)  1 N 1.02
H (0.5764, 0.2927, 0.2795)  1 N 1.02
H (0.6730, 0.0470, 0.2994)  1 N 1.02
H (0.6730, 0.4530, 0.7994)  1 N 1.02
H (0.8130, 0.2307, 0.1221)  1 N 1.02
H (0.8130, 0.2693, 0.6221)  1 N 1.02
H (0.8917, 0.2173, 0.3840)  1 N 1.06
H (0.8917, 0.2827, 0.8840)  1 N 1.06
H (0.9532, 0.5370, 0.1248)  1 N 1.02
H (0.9532, 0.9630, 0.6248)  1 N 1.02
H (0.9725, 0.1148, 0.9086)  1 N 1.02
H (0.9725, 0.3852, 0.4086)  1 N 1.02
S (0.2780, 0.1905, 0.9946)  2 O 1.45-1.47
S (0.2780, 0.3095, 0.4946)  2 O 1.45-1.47
S (0.7220, 0.6905, 0.5054)  2 O 1.45-1.47
S (0.7220, 0.8095, 0.0054)  2 O 1.45-1.47
N (0.0624, 0.5409, 0.1539)  1 H 1.02
N (0.0624, 0.9591, 0.6539)  1 H 1.02
N (0.1216, 0.6683, 0.6084)  2 H 1.02-1.06
N (0.1216, 0.8317, 0.1084)  2 H 1.02-1.06
N (0.1650, 0.1580, 0.8498)  1 S 1.62, 1 P 1.67
N (0.1650, 0.3420, 0.3498)  1 S 1.62, 1 P 1.67
N (0.1846, 0.6241, 0.4039)  1 H 1.02
N (0.1846, 0.8759, 0.9039)  1 H 1.02
N (0.2285, 0.0772, 0.0761)  1 P 1.64, 1 S 1.65
N (0.2285, 0.4228, 0.5761)  1 P 1.64, 1 S 1.65
N (0.3348, 0.5123, 0.2843)  2 H 1.02
N (0.3348, 0.9877, 0.7843)  2 H 1.02
N (0.3766, 0.7008, 0.6254)  2 H 1.02
N (0.3766, 0.7992, 0.1254)  2 H 1.02
N (0.6234, 0.2008, 0.8746)  2 H 1.02
N (0.6234, 0.2992, 0.3746)  2 H 1.02
N (0.6652, 0.0123, 0.2157)  2 H 1.02
N (0.6652, 0.4877, 0.7157)  2 H 1.02
N (0.7715, 0.5772, 0.4239)  1 P 1.64, 1 S 1.65
N (0.7715, 0.9228, 0.9239)  1 P 1.64, 1 S 1.65
N (0.8154, 0.1241, 0.0961)  1 H 1.02
N (0.8154, 0.3759, 0.5961)  1 H 1.02
N (0.8350, 0.6580, 0.6502)  1 S 1.62, 1 P 1.67
N (0.8350, 0.8420, 0.1502)  1 S 1.62, 1 P 1.67
N (0.8784, 0.1683, 0.8916)  2 H 1.02-1.06
N (0.8784, 0.3317, 0.3916)  2 H 1.02-1.06
N (0.9376, 0.0409, 0.3461)  1 H 1.02
N (0.9376, 0.4591, 0.8461)  1 H 1.02
O (0.2547, 0.1613, 0.5260)  1 S 1.45
O (0.2547, 0.3387, 0.0260)  1 S 1.45
O (0.4292, 0.1584, 0.0210)  1 S 1.47
O (0.4292, 0.3416, 0.5210)  1 S 1.47
O (0.5708, 0.6584, 0.4790)  1 S 1.47
O (0.5708, 0.8416, 0.9790)  1 S 1.47
O (0.7453, 0.6613, 0.9740)  1 S 1.45
O (0.7453, 0.8387, 0.4740)  1 S 1.45

=====

[2]
Density functional theory data (PBE-GGA) for Ag2H6PdS2N2O6 after structural relaxation.

Computed properties:
* E (MP2020): -5.424 eV/atom

a = 7.2961 Å, b = 5.9223 Å, c = 10.7692 Å
α = 90.00°, β = 108.39°, γ = 90.00°
Closest atoms and distances in Å follow each position.
Sites, in units of the cell vectors:
Ag (0.0581, 0.2379, 0.3512)  4 O 2.34-2.51
Ag (0.0581, 0.2621, 0.8512)  4 O 2.34-2.51
Ag (0.9419, 0.7379, 0.1488)  4 O 2.34-2.51
Ag (0.9419, 0.7621, 0.6488)  4 O 2.34-2.51
H (0.3066, 0.0554, 0.6685)  1 N 1.03
H (0.3066, 0.4446, 0.1685)  1 N 1.03
H (0.3495, 0.1933, 0.1123)  1 N 1.03
H (0.3495, 0.3067, 0.6123)  1 N 1.03
H (0.4764, 0.6730, 0.7722)  1 N 1.03
H (0.4764, 0.8270, 0.2722)  1 N 1.03
H (0.5236, 0.1730, 0.7278)  1 N 1.03
H (0.5236, 0.3270, 0.2278)  1 N 1.03
H (0.6505, 0.6933, 0.3877)  1 N 1.03
H (0.6505, 0.8067, 0.8877)  1 N 1.03
H (0.6934, 0.5554, 0.8315)  1 N 1.03
H (0.6934, 0.9446, 0.3315)  1 N 1.03
Pd (0.5000, 0.0000, 0.5000)  2 N 2.08, 2 S 2.33
Pd (0.5000, 0.5000, 0.0000)  2 N 2.08, 2 S 2.33
S (0.2533, 0.7350, 0.4630)  3 O 1.51-1.53
S (0.2533, 0.7650, 0.9630)  3 O 1.51-1.53
S (0.7467, 0.2350, 0.0370)  3 O 1.51-1.53
S (0.7467, 0.2650, 0.5370)  3 O 1.51-1.53
N (0.4079, 0.1510, 0.6446)  3 H 1.03
N (0.4079, 0.3490, 0.1446)  3 H 1.03
N (0.5921, 0.6510, 0.8554)  3 H 1.03
N (0.5921, 0.8490, 0.3554)  3 H 1.03
O (0.0634, 0.6526, 0.8855)  1 S 1.53
O (0.0634, 0.8474, 0.3855)  1 S 1.53
O (0.2380, 0.6595, 0.5934)  1 S 1.51
O (0.2380, 0.8405, 0.0934)  1 S 1.51
O (0.2830, 0.5331, 0.3863)  1 S 1.51
O (0.2830, 0.9669, 0.8863)  1 S 1.51
O (0.7170, 0.0331, 0.1137)  1 S 1.51
O (0.7170, 0.4669, 0.6137)  1 S 1.51
O (0.7620, 0.1595, 0.9066)  1 S 1.51
O (0.7620, 0.3405, 0.4066)  1 S 1.51
O (0.9366, 0.1526, 0.6145)  1 S 1.53
O (0.9366, 0.3474, 0.1145)  1 S 1.53

=====

[3]
Density functional theory data (PBE-GGA) for Ag2H12SN4O4 after structural relaxation.

Computed properties:
* E (MP2020): -5.226 eV/atom

a = 8.5828 Å, b = 8.5828 Å, c = 6.4505 Å
α = 90.00°, β = 90.00°, γ = 90.00°
Closest atoms and distances in Å follow each position.
Sites, in units of the cell vectors:
Ag (0.0000, 0.5000, 0.0149)  2 N 2.14
Ag (0.0000, 0.5000, 0.5149)  2 N 2.14
Ag (0.5000, 0.0000, 0.4851)  2 N 2.14
Ag (0.5000, 0.0000, 0.9851)  2 N 2.14
H (0.0557, 0.7834, 0.3635)  1 N 1.03
H (0.0848, 0.7979, 0.6198)  1 N 1.03
H (0.2021, 0.0848, 0.3802)  1 N 1.03
H (0.2124, 0.7186, 0.9708)  1 N 1.03
H (0.2166, 0.0557, 0.6365)  1 N 1.03
H (0.2186, 0.7124, 0.4708)  1 N 1.03
H (0.2814, 0.2124, 0.0292)  1 N 1.03
H (0.2834, 0.5557, 0.8635)  1 N 1.03
H (0.2876, 0.2186, 0.5292)  1 N 1.03
H (0.2979, 0.5848, 0.1198)  1 N 1.03
H (0.4152, 0.2979, 0.8802)  1 N 1.03
H (0.4443, 0.2834, 0.1365)  1 N 1.03
H (0.5557, 0.7166, 0.1365)  1 N 1.03
H (0.5848, 0.7021, 0.8802)  1 N 1.03
H (0.7021, 0.4152, 0.1198)  1 N 1.03
H (0.7124, 0.7814, 0.5292)  1 N 1.03
H (0.7166, 0.4443, 0.8635)  1 N 1.03
H (0.7186, 0.7876, 0.0292)  1 N 1.03
H (0.7814, 0.2876, 0.4708)  1 N 1.03
H (0.7834, 0.9443, 0.6365)  1 N 1.03
H (0.7876, 0.2814, 0.9708)  1 N 1.03
H (0.7979, 0.9152, 0.3802)  1 N 1.03
H (0.9152, 0.2021, 0.6198)  1 N 1.03
H (0.9443, 0.2166, 0.3635)  1 N 1.03
S (0.0000, 0.0000, 0.0000)  4 O 1.50
S (0.5000, 0.5000, 0.5000)  4 O 1.50
N (0.1005, 0.7277, 0.4920)  3 H 1.03
N (0.2277, 0.6005, 0.9920)  3 H 1.03
N (0.2723, 0.1005, 0.5080)  3 H 1.03
N (0.3995, 0.2277, 0.0080)  3 H 1.03
N (0.6005, 0.7723, 0.0080)  3 H 1.03
N (0.7277, 0.8995, 0.5080)  3 H 1.03
N (0.7723, 0.3995, 0.9920)  3 H 1.03
N (0.8995, 0.2723, 0.4920)  3 H 1.03
O (0.0651, 0.1272, 0.1334)  1 S 1.50
O (0.1272, 0.9349, 0.8666)  1 S 1.50
O (0.3728, 0.4349, 0.6334)  1 S 1.50
O (0.4349, 0.6272, 0.3666)  1 S 1.50
O (0.5651, 0.3728, 0.3666)  1 S 1.50
O (0.6272, 0.5651, 0.6334)  1 S 1.50
O (0.8728, 0.0651, 0.8666)  1 S 1.50
O (0.9349, 0.8728, 0.1334)  1 S 1.50

=====

[4]
Density functional theory data (PBE-GGA) for AgH2SNO3 after structural relaxation.

Computed properties:
* E (MP2020): -5.591 eV/atom

a = 7.9633 Å, b = 11.8700 Å, c = 8.2184 Å
α = 90.00°, β = 90.00°, γ = 90.00°
Closest atoms and distances in Å follow each position.
Sites, in units of the cell vectors:
Ag (0.1161, 0.1032, 0.2495)  1 N 2.33, 3 O 2.47-2.56
Ag (0.1161, 0.3968, 0.7495)  1 N 2.33, 3 O 2.47-2.56
Ag (0.3839, 0.6032, 0.2495)  1 N 2.33, 3 O 2.47-2.56
Ag (0.3839, 0.8968, 0.7495)  1 N 2.33, 3 O 2.47-2.56
Ag (0.6161, 0.1032, 0.2505)  1 N 2.33, 3 O 2.47-2.56
Ag (0.6161, 0.3968, 0.7505)  1 N 2.33, 3 O 2.47-2.56
Ag (0.8839, 0.6032, 0.2505)  1 N 2.33, 3 O 2.47-2.56
Ag (0.8839, 0.8968, 0.7505)  1 N 2.33, 3 O 2.47-2.56
H (0.0068, 0.1061, 0.6368)  1 N 1.04
H (0.0068, 0.3939, 0.1368)  1 N 1.04
H (0.2044, 0.6123, 0.8829)  1 N 1.03
H (0.2044, 0.8877, 0.3829)  1 N 1.03
H (0.2956, 0.1123, 0.8829)  1 N 1.03
H (0.2956, 0.3877, 0.3829)  1 N 1.03
H (0.4932, 0.6061, 0.6368)  1 N 1.04
H (0.4932, 0.8939, 0.1368)  1 N 1.04
H (0.5068, 0.1061, 0.8632)  1 N 1.04
H (0.5068, 0.3939, 0.3632)  1 N 1.04
H (0.7044, 0.6123, 0.6171)  1 N 1.03
H (0.7044, 0.8877, 0.1171)  1 N 1.03
H (0.7956, 0.1123, 0.6171)  1 N 1.03
H (0.7956, 0.3877, 0.1171)  1 N 1.03
H (0.9932, 0.6061, 0.8632)  1 N 1.04
H (0.9932, 0.8939, 0.3632)  1 N 1.04
S (0.1197, 0.6633, 0.6310)  3 O 1.46-1.49
S (0.1197, 0.8367, 0.1310)  3 O 1.46-1.49
S (0.3803, 0.1633, 0.6310)  3 O 1.46-1.49
S (0.3803, 0.3367, 0.1310)  3 O 1.46-1.49
S (0.6197, 0.6633, 0.8690)  3 O 1.46-1.49
S (0.6197, 0.8367, 0.3690)  3 O 1.46-1.49
S (0.8803, 0.1633, 0.8690)  3 O 1.46-1.49
S (0.8803, 0.3367, 0.3690)  3 O 1.46-1.49
N (0.1069, 0.5892, 0.8072)  2 H 1.03-1.04
N (0.1069, 0.9108, 0.3072)  2 H 1.03-1.04
N (0.3931, 0.0892, 0.8072)  2 H 1.03-1.04
N (0.3931, 0.4108, 0.3072)  2 H 1.03-1.04
N (0.6069, 0.5892, 0.6928)  2 H 1.03-1.04
N (0.6069, 0.9108, 0.1928)  2 H 1.03-1.04
N (0.8931, 0.0892, 0.6928)  2 H 1.03-1.04
N (0.8931, 0.4108, 0.1928)  2 H 1.03-1.04
O (0.0378, 0.1370, 0.9519)  1 S 1.46
O (0.0378, 0.3630, 0.4519)  1 S 1.46
O (0.1346, 0.7150, 0.1712)  1 S 1.49
O (0.1346, 0.7850, 0.6712)  1 S 1.49
O (0.2278, 0.1201, 0.5528)  1 S 1.47
O (0.2278, 0.3799, 0.0528)  1 S 1.47
O (0.2722, 0.6201, 0.5528)  1 S 1.47
O (0.2722, 0.8799, 0.0528)  1 S 1.47
O (0.3654, 0.2150, 0.1712)  1 S 1.49
O (0.3654, 0.2850, 0.6712)  1 S 1.49
O (0.4622, 0.6370, 0.9519)  1 S 1.46
O (0.4622, 0.8630, 0.4519)  1 S 1.46
O (0.5378, 0.1370, 0.5481)  1 S 1.46
O (0.5378, 0.3630, 0.0481)  1 S 1.46
O (0.6346, 0.7150, 0.3288)  1 S 1.49
O (0.6346, 0.7850, 0.8288)  1 S 1.49
O (0.7278, 0.1201, 0.9472)  1 S 1.47
O (0.7278, 0.3799, 0.4472)  1 S 1.47
O (0.7722, 0.6201, 0.9472)  1 S 1.47
O (0.7722, 0.8799, 0.4472)  1 S 1.47
O (0.8654, 0.2150, 0.3288)  1 S 1.49
O (0.8654, 0.2850, 0.8288)  1 S 1.49
O (0.9622, 0.6370, 0.5481)  1 S 1.46
O (0.9622, 0.8630, 0.0481)  1 S 1.46

=====

[5]
Density functional theory data (PBE-GGA) for Ag3H13SeN4O5 after structural relaxation.

Computed properties:
* E (MP2020): -4.979 eV/atom

a = 6.5382 Å, b = 11.8981 Å, c = 14.7461 Å
α = 90.00°, β = 90.00°, γ = 90.00°
Closest atoms and distances in Å follow each position.
Sites, in units of the cell vectors:
Ag (0.0622, 0.2488, 0.4988)  2 N 2.12-2.13
Ag (0.2196, 0.5530, 0.1129)  2 N 2.11-2.13
Ag (0.2275, 0.9573, 0.9000)  2 N 2.14-2.16
Ag (0.2725, 0.0427, 0.4000)  2 N 2.14-2.16
Ag (0.2804, 0.4470, 0.6129)  2 N 2.11-2.13
Ag (0.4378, 0.7512, 0.9988)  2 N 2.12-2.13
Ag (0.5622, 0.2512, 0.5012)  2 N 2.12-2.13
Ag (0.7196, 0.9470, 0.8871)  2 N 2.11-2.13
Ag (0.7275, 0.5427, 0.1000)  2 N 2.14-2.16
Ag (0.7725, 0.4573, 0.6000)  2 N 2.14-2.16
Ag (0.7804, 0.0530, 0.3871)  2 N 2.11-2.13
Ag (0.9378, 0.7488, 0.0012)  2 N 2.12-2.13
H (0.0908, 0.5784, 0.8561)  1 O 0.99
H (0.0928, 0.8094, 0.7724)  1 N 1.03
H (0.1098, 0.6329, 0.6775)  1 N 1.03
H (0.1123, 0.9278, 0.5406)  1 N 1.02
H (0.1431, 0.3388, 0.1592)  1 N 1.04
H (0.1464, 0.0474, 0.0627)  1 N 1.03
H (0.1590, 0.1642, 0.2563)  1 N 1.03
H (0.1689, 0.9301, 0.7240)  1 N 1.02
H (0.1767, 0.4513, 0.3721)  1 O 1.00
H (0.1941, 0.3903, 0.9187)  1 O 0.99
H (0.1938, 0.6594, 0.5726)  1 N 1.02
H (0.2137, 0.1545, 0.9941)  1 N 1.03
H (0.2165, 0.7167, 0.3741)  1 O 0.99
H (0.2835, 0.2833, 0.8741)  1 O 0.99
H (0.2863, 0.8455, 0.4941)  1 N 1.03
H (0.3062, 0.3406, 0.0726)  1 N 1.02
H (0.3059, 0.6097, 0.4187)  1 O 0.99
H (0.3233, 0.5487, 0.8721)  1 O 1.00
H (0.3311, 0.0699, 0.2240)  1 N 1.02
H (0.3410, 0.8358, 0.7563)  1 N 1.03
H (0.3536, 0.9526, 0.5627)  1 N 1.03
H (0.3569, 0.6612, 0.6592)  1 N 1.04
H (0.3877, 0.0722, 0.0406)  1 N 1.02
H (0.3902, 0.3671, 0.1775)  1 N 1.03
H (0.4072, 0.1906, 0.2724)  1 N 1.03
H (0.4092, 0.4216, 0.3561)  1 O 0.99
H (0.5908, 0.9216, 0.1439)  1 O 0.99
H (0.5928, 0.6906, 0.2276)  1 N 1.03
H (0.6098, 0.8671, 0.3225)  1 N 1.03
H (0.6123, 0.5722, 0.4594)  1 N 1.02
H (0.6431, 0.1612, 0.8408)  1 N 1.04
H (0.6464, 0.4526, 0.9373)  1 N 1.03
H (0.6590, 0.3358, 0.7437)  1 N 1.03
H (0.6689, 0.5699, 0.2760)  1 N 1.02
H (0.6767, 0.0487, 0.6279)  1 O 1.00
H (0.6941, 0.1097, 0.0813)  1 O 0.99
H (0.6938, 0.8406, 0.4274)  1 N 1.02
H (0.7137, 0.3455, 0.0059)  1 N 1.03
H (0.7165, 0.7833, 0.6259)  1 O 0.99
H (0.7835, 0.2167, 0.1259)  1 O 0.99
H (0.7863, 0.6545, 0.5059)  1 N 1.03
H (0.8062, 0.1594, 0.9274)  1 N 1.02
H (0.8059, 0.8903, 0.5813)  1 O 0.99
H (0.8233, 0.9513, 0.1279)  1 O 1.00
H (0.8311, 0.4301, 0.7760)  1 N 1.02
H (0.8410, 0.6642, 0.2437)  1 N 1.03
H (0.8536, 0.5474, 0.4373)  1 N 1.03
H (0.8569, 0.8388, 0.3408)  1 N 1.04
H (0.8877, 0.4278, 0.9594)  1 N 1.02
H (0.8902, 0.1329, 0.8225)  1 N 1.03
H (0.9072, 0.3094, 0.7276)  1 N 1.03
H (0.9092, 0.0784, 0.6439)  1 O 0.99
Se (0.1923, 0.8172, 0.1873)  3 O 1.68-1.69, 1 N 1.79
Se (0.3077, 0.1828, 0.6873)  3 O 1.68-1.69, 1 N 1.79
Se (0.6923, 0.6828, 0.8127)  3 O 1.68-1.69, 1 N 1.79
Se (0.8077, 0.3172, 0.3127)  3 O 1.68-1.69, 1 N 1.79
N (0.1891, 0.7275, 0.0901)  1 Se 1.79
N (0.2019, 0.8717, 0.7727)  3 H 1.02-1.03
N (0.2289, 0.6216, 0.6327)  3 H 1.02-1.04
N (0.2448, 0.0730, 0.0124)  3 H 1.02-1.03
N (0.2552, 0.9270, 0.5124)  3 H 1.02-1.03
N (0.2711, 0.3784, 0.1327)  3 H 1.02-1.04
N (0.2981, 0.1283, 0.2727)  3 H 1.02-1.03
N (0.3109, 0.2725, 0.5901)  1 Se 1.79
N (0.6891, 0.7725, 0.9099)  1 Se 1.79
N (0.7019, 0.6283, 0.2273)  3 H 1.02-1.03
N (0.7289, 0.8784, 0.3673)  3 H 1.02-1.04
N (0.7448, 0.4270, 0.9876)  3 H 1.02-1.03
N (0.7552, 0.5730, 0.4876)  3 H 1.02-1.03
N (0.7711, 0.1216, 0.8673)  3 H 1.02-1.04
N (0.7981, 0.3717, 0.7273)  3 H 1.02-1.03
N (0.8109, 0.2275, 0.4099)  1 Se 1.79
O (0.0623, 0.1590, 0.7185)  1 Se 1.69, 1 H 1.77
O (0.0737, 0.7554, 0.2758)  1 Se 1.69, 1 H 1.78
O (0.0809, 0.9418, 0.1661)  1 Se 1.68, 1 H 1.78
O (0.1833, 0.5341, 0.8959)  2 H 0.99-1.00
O (0.2167, 0.3091, 0.9307)  2 H 0.99
O (0.2833, 0.6909, 0.4307)  2 H 0.99
O (0.3167, 0.4659, 0.3959)  2 H 0.99-1.00
O (0.4191, 0.0582, 0.6661)  1 Se 1.68, 1 H 1.78
O (0.4263, 0.2446, 0.7758)  1 Se 1.69, 1 H 1.78
O (0.4377, 0.8410, 0.2185)  1 Se 1.69, 1 H 1.77
O (0.5623, 0.3410, 0.2815)  1 Se 1.69, 1 H 1.77
O (0.5737, 0.7446, 0.7242)  1 Se 1.69, 1 H 1.78
O (0.5809, 0.5582, 0.8339)  1 Se 1.68, 1 H 1.78
O (0.6833, 0.9659, 0.1041)  2 H 0.99-1.00
O (0.7167, 0.1909, 0.0693)  2 H 0.99
O (0.7833, 0.8091, 0.5693)  2 H 0.99
O (0.8167, 0.0341, 0.6041)  2 H 0.99-1.00
O (0.9191, 0.4418, 0.3339)  1 Se 1.68, 1 H 1.78
O (0.9263, 0.2554, 0.2242)  1 Se 1.69, 1 H 1.78
O (0.9377, 0.6590, 0.7815)  1 Se 1.69, 1 H 1.77

=====

Which calculated total energy belongs to each record? In order, -0.21066; -0.19135; -0.18766; -0.19598; -0.17810 Ha/atom.
Which size of the total moment belongs to each record? In order, 0.00; 0.00; 0.00; 0.00; 0.00 μB/f.u..